Record 1
## La4B4I5 (PBE)

Data for a relaxed La4B4I5 crystal.

Computed properties:
electronic total energy: -68.87 eV per cell
ΔE_f: -1.284 eV/atom
crystal system: monoclinic

Cell and atoms, written as CIF:
```
data_La4B4I5
_space_group_name_H-M_alt 'P 1'
_space_group_IT_number 1
_cell_length_a 9.998
_cell_length_b 9.998
_cell_length_c 10.455
_cell_angle_alpha 72.07
_cell_angle_beta 72.07
_cell_angle_gamma 25.19
loop_
_space_group_symop_operation_xyz
'x,y,z'
loop_
_atom_site_label
_atom_site_type_symbol
_atom_site_fract_x
_atom_site_fract_y
_atom_site_fract_z
La1 La 0.490 0.490 0.250
La2 La 0.865 0.865 0.067
La3 La 0.510 0.510 0.749
La4 La 0.135 0.135 0.933
B1 B 0.316 0.684 0.000
B2 B 0.684 0.316 0.000
B3 B 0.997 0.997 0.095
B4 B 0.003 0.003 0.905
I1 I 0.687 0.687 0.681
I2 I 0.314 0.314 0.320
I3 I 0.014 0.014 0.491
I4 I 0.330 0.330 0.851
I5 I 0.671 0.671 0.148
```


Record 2
## CrMoAs2 (PBE)

Data for a relaxed CrMoAs2 crystal.

Computed properties:
electronic total energy: -61.10 eV per cell
ΔE_f: -0.184 eV/atom
crystal system: orthorhombic

Cell and atoms, written as CIF:
```
data_CrMoAs2
_space_group_name_H-M_alt 'P 1'
_space_group_IT_number 1
_cell_length_a 3.406
_cell_length_b 5.905
_cell_length_c 6.364
_cell_angle_alpha 90.00
_cell_angle_beta 90.00
_cell_angle_gamma 90.00
loop_
_space_group_symop_operation_xyz
'x,y,z'
loop_
_atom_site_label
_atom_site_type_symbol
_atom_site_fract_x
_atom_site_fract_y
_atom_site_fract_z
Mo1 Mo 0.500 0.995 0.944
Mo2 Mo 0.500 0.495 0.056
Cr1 Cr 0.000 0.505 0.437
Cr2 Cr 0.000 0.005 0.563
As1 As 0.000 0.194 0.188
As2 As 0.500 0.806 0.332
As3 As 0.500 0.306 0.668
As4 As 0.000 0.694 0.812
```


Record 3
## K2BP2O8 (PBE)

Data for a relaxed K2BP2O8 crystal.

Computed properties:
electronic total energy: -175.18 eV per cell
ΔE_f: -2.598 eV/atom
crystal system: tetragonal

Cell and atoms, written as CIF:
```
data_K2BP2O8
_space_group_name_H-M_alt 'P 1'
_space_group_IT_number 1
_cell_length_a 8.979
_cell_length_b 8.979
_cell_length_c 8.979
_cell_angle_alpha 131.73
_cell_angle_beta 131.73
_cell_angle_gamma 70.65
loop_
_space_group_symop_operation_xyz
'x,y,z'
loop_
_atom_site_label
_atom_site_type_symbol
_atom_site_fract_x
_atom_site_fract_y
_atom_site_fract_z
O1 O 0.100 0.936 0.379
O2 O 0.861 0.206 0.678
O3 O 0.889 0.067 0.845
O4 O 0.933 0.779 0.822
O5 O 0.650 0.529 0.336
O6 O 0.686 0.350 0.879
O7 O 0.557 0.721 0.621
O8 O 0.064 0.443 0.164
O9 O 0.794 0.471 0.655
O10 O 0.471 0.807 0.121
O11 O 0.279 0.900 0.836
O12 O 0.529 0.183 0.322
O13 O 0.193 0.314 0.664
O14 O 0.817 0.139 0.345
O15 O 0.221 0.044 0.155
O16 O 0.956 0.111 0.178
K1 K 0.375 0.487 0.612
K2 K 0.237 0.625 0.112
K3 K 0.875 0.763 0.388
K4 K 0.513 0.125 0.888
P1 P 0.375 0.973 0.098
P2 P 0.027 0.125 0.402
P3 P 0.875 0.277 0.902
P4 P 0.723 0.625 0.598
B1 B 0.750 0.250 0.500
B2 B 0.000 0.000 0.000
```


Record 4
## KFeCl4 (PBE)

Data for a relaxed KFeCl4 crystal.

Computed properties:
electronic total energy: -97.34 eV per cell
ΔE_f: -1.636 eV/atom
crystal system: monoclinic

Cell and atoms, written as CIF:
```
data_KFeCl4
_space_group_name_H-M_alt 'P 1'
_space_group_IT_number 1
_cell_length_a 10.740
_cell_length_b 7.435
_cell_length_c 9.537
_cell_angle_alpha 85.76
_cell_angle_beta 90.00
_cell_angle_gamma 90.00
loop_
_space_group_symop_operation_xyz
'x,y,z'
loop_
_atom_site_label
_atom_site_type_symbol
_atom_site_fract_x
_atom_site_fract_y
_atom_site_fract_z
K1 K 0.085 0.427 0.053
K2 K 0.585 0.573 0.947
K3 K 0.195 0.936 0.556
K4 K 0.695 0.064 0.444
Cl1 Cl 0.516 0.946 0.180
Cl2 Cl 0.357 0.275 0.942
Cl3 Cl 0.107 0.535 0.704
Cl4 Cl 0.470 0.709 0.574
Cl5 Cl 0.273 0.544 0.310
Cl6 Cl 0.813 0.208 0.080
Cl7 Cl 0.428 0.224 0.558
Cl8 Cl 0.928 0.776 0.442
Cl9 Cl 0.016 0.054 0.820
Cl10 Cl 0.682 0.970 0.794
Cl11 Cl 0.970 0.291 0.426
Cl12 Cl 0.773 0.456 0.690
Cl13 Cl 0.313 0.792 0.920
Cl14 Cl 0.857 0.725 0.058
Cl15 Cl 0.607 0.465 0.296
Cl16 Cl 0.182 0.030 0.206
Fe1 Fe 0.443 0.488 0.433
Fe2 Fe 0.843 0.990 0.936
Fe3 Fe 0.943 0.512 0.567
Fe4 Fe 0.343 0.010 0.064
```


Record 5
## HfSn2 (PBE)

Data for a relaxed HfSn2 crystal.

Computed properties:
electronic total energy: -56.35 eV per cell
ΔE_f: -0.269 eV/atom
crystal system: hexagonal

Cell and atoms, written as CIF:
```
data_HfSn2
_space_group_name_H-M_alt 'P 1'
_space_group_IT_number 1
_cell_length_a 5.550
_cell_length_b 5.550
_cell_length_c 7.680
_cell_angle_alpha 90.00
_cell_angle_beta 90.00
_cell_angle_gamma 120.00
loop_
_space_group_symop_operation_xyz
'x,y,z'
loop_
_atom_site_label
_atom_site_type_symbol
_atom_site_fract_x
_atom_site_fract_y
_atom_site_fract_z
Hf1 Hf 0.000 0.500 0.667
Hf2 Hf 0.500 0.000 0.000
Hf3 Hf 0.500 0.500 0.333
Sn1 Sn 0.335 0.168 0.667
Sn2 Sn 0.832 0.665 0.000
Sn3 Sn 0.168 0.832 0.333
Sn4 Sn 0.168 0.335 0.000
Sn5 Sn 0.665 0.832 0.667
Sn6 Sn 0.832 0.168 0.333
```


Record 6
## NdCu2O4 (PBE)

Data for a relaxed NdCu2O4 crystal.

Computed properties:
electronic total energy: -88.35 eV per cell
ΔE_f: -2.024 eV/atom
crystal system: tetragonal

Cell and atoms, written as CIF:
```
data_NdCu2O4
_space_group_name_H-M_alt 'P 1'
_space_group_IT_number 1
_cell_length_a 6.393
_cell_length_b 6.393
_cell_length_c 6.393
_cell_angle_alpha 125.59
_cell_angle_beta 125.59
_cell_angle_gamma 80.56
loop_
_space_group_symop_operation_xyz
'x,y,z'
loop_
_atom_site_label
_atom_site_type_symbol
_atom_site_fract_x
_atom_site_fract_y
_atom_site_fract_z
Nd1 Nd 0.000 0.000 0.000
Nd2 Nd 0.750 0.250 0.500
O1 O 0.018 0.946 0.363
O2 O 0.732 0.304 0.137
O3 O 0.345 0.982 0.927
O4 O 0.405 0.268 0.573
O5 O 0.583 0.655 0.637
O6 O 0.054 0.417 0.073
O7 O 0.696 0.833 0.427
O8 O 0.167 0.595 0.863
Cu1 Cu 0.375 0.125 0.750
Cu2 Cu 0.375 0.625 0.250
Cu3 Cu 0.875 0.625 0.250
Cu4 Cu 0.375 0.625 0.750
```


Record 7
## PrGa4Os (PBE)

Data for a relaxed PrGa4Os crystal.

Computed properties:
electronic total energy: -185.36 eV per cell
ΔE_f: -0.462 eV/atom
crystal system: orthorhombic

Cell and atoms, written as CIF:
```
data_PrGa4Os
_space_group_name_H-M_alt 'P 1'
_space_group_IT_number 1
_cell_length_a 7.709
_cell_length_b 8.863
_cell_length_c 9.766
_cell_angle_alpha 90.00
_cell_angle_beta 90.00
_cell_angle_gamma 90.00
loop_
_space_group_symop_operation_xyz
'x,y,z'
loop_
_atom_site_label
_atom_site_type_symbol
_atom_site_fract_x
_atom_site_fract_y
_atom_site_fract_z
Ga1 Ga 0.821 0.764 0.075
Ga2 Ga 0.130 0.000 0.750
Ga3 Ga 0.662 0.000 0.561
Ga4 Ga 0.179 0.236 0.925
Ga5 Ga 0.453 0.156 0.750
Ga6 Ga 0.453 0.844 0.750
Ga7 Ga 0.662 0.000 0.939
Ga8 Ga 0.000 0.500 0.500
Ga9 Ga 0.656 0.500 0.585
Ga10 Ga 0.179 0.236 0.575
Ga11 Ga 0.344 0.500 0.085
Ga12 Ga 0.547 0.156 0.250
Ga13 Ga 0.179 0.764 0.925
Ga14 Ga 0.821 0.764 0.425
Ga15 Ga 0.656 0.500 0.915
Ga16 Ga 0.338 0.000 0.061
Ga17 Ga 0.870 0.000 0.250
Ga18 Ga 0.000 0.500 0.000
Ga19 Ga 0.344 0.500 0.415
Ga20 Ga 0.547 0.844 0.250
Ga21 Ga 0.338 0.000 0.439
Ga22 Ga 0.821 0.236 0.425
Ga23 Ga 0.179 0.764 0.575
Ga24 Ga 0.821 0.236 0.075
Os1 Os 0.000 0.000 0.500
Os2 Os 0.000 0.000 0.000
Os3 Os 0.500 0.259 0.500
Os4 Os 0.500 0.741 0.000
Os5 Os 0.500 0.741 0.500
Os6 Os 0.500 0.259 0.000
Pr1 Pr 0.680 0.500 0.250
Pr2 Pr 0.839 0.249 0.750
Pr3 Pr 0.320 0.500 0.750
Pr4 Pr 0.161 0.249 0.250
Pr5 Pr 0.161 0.751 0.250
Pr6 Pr 0.839 0.751 0.750
```


Record 8
## Zr6Al2Fe (PBE)

Data for a relaxed Zr6Al2Fe crystal.

Computed properties:
electronic total energy: -69.97 eV per cell
ΔE_f: -0.302 eV/atom
crystal system: hexagonal

Cell and atoms, written as CIF:
```
data_Zr6Al2Fe
_space_group_name_H-M_alt 'P 1'
_space_group_IT_number 1
_cell_length_a 7.972
_cell_length_b 7.972
_cell_length_c 3.315
_cell_angle_alpha 90.00
_cell_angle_beta 90.00
_cell_angle_gamma 120.00
loop_
_space_group_symop_operation_xyz
'x,y,z'
loop_
_atom_site_label
_atom_site_type_symbol
_atom_site_fract_x
_atom_site_fract_y
_atom_site_fract_z
Al1 Al 0.333 0.667 0.500
Al2 Al 0.667 0.333 0.500
Zr1 Zr 0.750 0.750 0.500
Zr2 Zr 0.000 0.601 0.000
Zr3 Zr 0.399 0.399 0.000
Zr4 Zr 0.601 0.000 0.000
Zr5 Zr 0.000 0.250 0.500
Zr6 Zr 0.250 0.000 0.500
Fe1 Fe 0.000 0.000 0.000
```


Record 9
## Ca6Ti5AlSi6O29F (PBE)

Data for a relaxed Ca6Ti5AlSi6O29F crystal.

Computed properties:
electronic total energy: -760.27 eV per cell
ΔE_f: -3.486 eV/atom
crystal system: triclinic

Cell and atoms, written as CIF:
```
data_Ca6Ti5AlSi6O29F
_space_group_name_H-M_alt 'P 1'
_space_group_IT_number 1
_cell_length_a 5.477
_cell_length_b 5.478
_cell_length_c 39.169
_cell_angle_alpha 92.05
_cell_angle_beta 92.03
_cell_angle_gamma 105.93
loop_
_space_group_symop_operation_xyz
'x,y,z'
loop_
_atom_site_label
_atom_site_type_symbol
_atom_site_fract_x
_atom_site_fract_y
_atom_site_fract_z
Si1 Si 0.692 0.059 0.291
Si2 Si 0.192 0.559 0.792
Si3 Si 0.309 0.942 0.709
Si4 Si 0.809 0.442 0.542
Si5 Si 0.192 0.559 0.458
Si6 Si 0.809 0.442 0.875
Si7 Si 0.308 0.942 0.375
Si8 Si 0.813 0.444 0.206
Si9 Si 0.692 0.060 0.960
Si10 Si 0.310 0.939 0.045
Si11 Si 0.191 0.562 0.125
Si12 Si 0.692 0.059 0.625
O1 O 0.914 0.050 0.933
O2 O 0.085 0.504 0.897
O3 O 0.589 0.457 0.569
O4 O 0.190 0.325 0.150
O5 O 0.706 0.839 0.319
O6 O 0.799 0.673 0.180
O7 O 0.698 0.555 0.709
O8 O 0.426 0.555 0.099
O9 O 0.296 0.164 0.682
O10 O 0.301 0.447 0.959
O11 O 0.697 0.556 0.375
O12 O 0.416 0.997 0.938
O13 O 0.754 0.334 0.313
O14 O 0.755 0.335 0.647
O15 O 0.074 0.946 0.069
O16 O 0.584 0.005 0.397
O17 O 0.745 0.166 0.520
O18 O 0.305 0.448 0.626
O19 O 0.914 0.046 0.598
O20 O 0.416 0.995 0.604
O21 O 0.089 0.957 0.736
O22 O 0.198 0.055 0.542
O23 O 0.245 0.666 0.687
O24 O 0.916 0.495 0.770
O25 O 0.207 0.339 0.486
O26 O 0.307 0.448 0.291
O27 O 0.591 0.451 0.234
O28 O 0.745 0.166 0.854
O29 O 0.248 0.667 0.021
O30 O 0.805 0.948 0.792
O31 O 0.588 0.993 0.066
O32 O 0.707 0.839 0.652
O33 O 0.089 0.957 0.402
O34 O 0.206 0.338 0.819
O35 O 0.916 0.495 0.437
O36 O 0.255 0.835 0.480
O37 O 0.796 0.663 0.849
O38 O 0.244 0.666 0.353
O39 O 0.914 0.045 0.265
O40 O 0.413 0.546 0.765
O41 O 0.585 0.005 0.730
O42 O 0.246 0.837 0.147
O43 O 0.915 0.504 0.102
O44 O 0.417 0.995 0.269
O45 O 0.588 0.456 0.902
O46 O 0.085 0.505 0.564
O47 O 0.308 0.169 0.018
O48 O 0.806 0.948 0.459
O49 O 0.255 0.835 0.814
O50 O 0.796 0.664 0.515
O51 O 0.296 0.164 0.348
O52 O 0.753 0.336 0.982
O53 O 0.414 0.546 0.432
O54 O 0.195 0.057 0.207
O55 O 0.704 0.834 0.986
O56 O 0.086 0.504 0.229
O57 O 0.197 0.052 0.876
O58 O 0.754 0.166 0.184
Ti1 Ti 0.249 0.242 0.582
Ti2 Ti 0.479 0.494 0.998
Ti3 Ti 0.991 0.999 0.498
Ti4 Ti 0.990 0.998 0.831
Ti5 Ti 0.492 0.499 0.665
Ti6 Ti 0.748 0.741 0.415
Ti7 Ti 0.490 0.499 0.331
Ti8 Ti 0.749 0.741 0.748
Ti9 Ti 0.247 0.238 0.915
Ti10 Ti 0.251 0.244 0.247
Ca1 Ca 0.542 0.206 0.791
Ca2 Ca 0.954 0.292 0.374
Ca3 Ca 0.464 0.799 0.208
Ca4 Ca 0.041 0.704 0.290
Ca5 Ca 0.038 0.706 0.959
Ca6 Ca 0.960 0.291 0.046
Ca7 Ca 0.042 0.705 0.624
Ca8 Ca 0.545 0.219 0.128
Ca9 Ca 0.456 0.791 0.875
Ca10 Ca 0.455 0.792 0.541
Ca11 Ca 0.955 0.292 0.708
Ca12 Ca 0.542 0.205 0.458
Al1 Al 0.009 0.002 0.167
Al2 Al 0.749 0.748 0.084
F1 F 0.807 0.944 0.125
F2 F 0.704 0.560 0.044
```


Record 10
## CaSbPt (PBE)

Data for a relaxed CaSbPt crystal.

Computed properties:
electronic total energy: -60.55 eV per cell
ΔE_f: -0.977 eV/atom
crystal system: orthorhombic

Cell and atoms, written as CIF:
```
data_CaSbPt
_space_group_name_H-M_alt 'P 1'
_space_group_IT_number 1
_cell_length_a 4.641
_cell_length_b 7.400
_cell_length_c 7.969
_cell_angle_alpha 90.00
_cell_angle_beta 90.00
_cell_angle_gamma 90.00
loop_
_space_group_symop_operation_xyz
'x,y,z'
loop_
_atom_site_label
_atom_site_type_symbol
_atom_site_fract_x
_atom_site_fract_y
_atom_site_fract_z
Sb1 Sb 0.250 0.186 0.909
Sb2 Sb 0.750 0.814 0.091
Sb3 Sb 0.750 0.314 0.409
Sb4 Sb 0.250 0.686 0.591
Pt1 Pt 0.750 0.198 0.085
Pt2 Pt 0.250 0.802 0.915
Pt3 Pt 0.250 0.302 0.585
Pt4 Pt 0.750 0.698 0.415
Ca1 Ca 0.750 0.992 0.698
Ca2 Ca 0.250 0.508 0.198
Ca3 Ca 0.250 0.008 0.302
Ca4 Ca 0.750 0.492 0.802
```


Record 11
## CSe2 (PBE)

Data for a relaxed CSe2 crystal.

Computed properties:
electronic total energy: -28.41 eV per cell
ΔE_f: 0.358 eV/atom
crystal system: orthorhombic

Cell and atoms, written as CIF:
```
data_CSe2
_space_group_name_H-M_alt 'P 1'
_space_group_IT_number 1
_cell_length_a 4.660
_cell_length_b 4.660
_cell_length_c 9.463
_cell_angle_alpha 90.00
_cell_angle_beta 90.00
_cell_angle_gamma 100.01
loop_
_space_group_symop_operation_xyz
'x,y,z'
loop_
_atom_site_label
_atom_site_type_symbol
_atom_site_fract_x
_atom_site_fract_y
_atom_site_fract_z
Se1 Se 0.788 0.788 0.879
Se2 Se 0.288 0.288 0.621
Se3 Se 0.212 0.212 0.121
Se4 Se 0.712 0.712 0.379
C1 C 0.500 0.500 0.500
C2 C 0.000 0.000 0.000
```


Record 12
## CaMg6Cd (PBE)

Data for a relaxed CaMg6Cd crystal.

Computed properties:
electronic total energy: -25.57 eV per cell
ΔE_f: -0.032 eV/atom

Cell and atoms, written as CIF:
```
data_CaMg6Cd
_space_group_name_H-M_alt 'P 1'
_space_group_IT_number 1
_cell_length_a 5.196
_cell_length_b 6.515
_cell_length_c 11.600
_cell_angle_alpha 90.00
_cell_angle_beta 90.00
_cell_angle_gamma 90.00
loop_
_space_group_symop_operation_xyz
'x,y,z'
loop_
_atom_site_label
_atom_site_type_symbol
_atom_site_fract_x
_atom_site_fract_y
_atom_site_fract_z
Ca1 Ca 0.500 0.500 0.668
Ca2 Ca 0.500 0.000 0.168
Mg1 Mg 0.000 0.243 0.582
Mg2 Mg 0.500 0.255 0.918
Mg3 Mg 0.000 0.500 0.333
Mg4 Mg 0.000 0.000 0.337
Mg5 Mg 0.500 0.745 0.918
Mg6 Mg 0.000 0.743 0.082
Mg7 Mg 0.000 0.000 0.833
Mg8 Mg 0.500 0.245 0.418
Mg9 Mg 0.000 0.500 0.837
Mg10 Mg 0.500 0.755 0.418
Mg11 Mg 0.000 0.757 0.582
Mg12 Mg 0.000 0.257 0.082
Cd1 Cd 0.500 0.500 0.163
Cd2 Cd 0.500 0.000 0.663
```


Question: What is the ΔE_f in the tenth record?
Answer: -0.977 eV/atom


Question: Among the records above, which one has the highest ΔE_f?
Answer: CSe2


Copy entry 10 word for word.
## CaSbPt (PBE)

Data for a relaxed CaSbPt crystal.

Computed properties:
electronic total energy: -60.55 eV per cell
ΔE_f: -0.977 eV/atom
crystal system: orthorhombic

Cell and atoms, written as CIF:
```
data_CaSbPt
_space_group_name_H-M_alt 'P 1'
_space_group_IT_number 1
_cell_length_a 4.641
_cell_length_b 7.400
_cell_length_c 7.969
_cell_angle_alpha 90.00
_cell_angle_beta 90.00
_cell_angle_gamma 90.00
loop_
_space_group_symop_operation_xyz
'x,y,z'
loop_
_atom_site_label
_atom_site_type_symbol
_atom_site_fract_x
_atom_site_fract_y
_atom_site_fract_z
Sb1 Sb 0.250 0.186 0.909
Sb2 Sb 0.750 0.814 0.091
Sb3 Sb 0.750 0.314 0.409
Sb4 Sb 0.250 0.686 0.591
Pt1 Pt 0.750 0.198 0.085
Pt2 Pt 0.250 0.802 0.915
Pt3 Pt 0.250 0.302 0.585
Pt4 Pt 0.750 0.698 0.415
Ca1 Ca 0.750 0.992 0.698
Ca2 Ca 0.250 0.508 0.198
Ca3 Ca 0.250 0.008 0.302
Ca4 Ca 0.750 0.492 0.802
```